Entry 1:
Li2Mn2FeO6 | r2SCAN | relaxed

Cell: 4.9947 4.9947 10.0395 Å, 89.96 89.96 120.38°
Sites, in units of the cell vectors:
Li 0.1672 0.6674 0.7500
Li 0.3326 0.8328 0.2500
Li 0.6691 0.1657 0.7500
Li 0.8343 0.3308 0.2499
Mn 0.1623 0.8377 0.5000
Mn 0.3373 0.6627 0.0000
Mn 0.6623 0.3377 0.0000
Mn 0.8373 0.1627 0.5000
Fe 0.9998 0.0002 0.0000
Fe 0.4998 0.5002 0.5000
O 0.1421 0.1426 0.6018
O 0.3567 0.3572 0.1017
O 0.6428 0.6433 0.8983
O 0.8574 0.8579 0.3983
O 0.0045 0.6438 0.1063
O 0.9951 0.3564 0.8938
O 0.1442 0.5054 0.3938
O 0.4946 0.8558 0.6062
O 0.3562 0.9955 0.8937
O 0.5051 0.1444 0.3937
O 0.8556 0.4949 0.6063
O 0.6436 0.0049 0.1062

Values from the calculation:
crystal system	monoclinic
symmetry	C2
ΔH_f (0 K)	-46.13	kcal/mol of atoms


Entry 2:
PrTeCl | r2SCAN | relaxed

Cell: 4.5103 4.5103 8.2679 Å, 90.00 90.00 90.00°
Sites, in units of the cell vectors:
Pr 0.7500 0.7500 0.7604
Pr 0.2500 0.2500 0.2396
Te 0.7500 0.7500 0.3643
Te 0.2500 0.2500 0.6357
Cl 0.7500 0.2500 0.0000
Cl 0.2500 0.7500 0.0000

Values from the calculation:
crystal system	tetragonal
symmetry	P4/nmm
ΔH_f (0 K)	-49.22	kcal/mol of atoms


Entry 3:
K6InAs3 | r2SCAN | relaxed

Cell: 9.0453 9.1603 19.6641 Å, 94.29 94.81 119.45°
Sites, in units of the cell vectors:
K 0.2854 0.1545 0.8027
K 0.7146 0.8455 0.1973
K 0.9604 0.7654 0.6960
K 0.0396 0.2346 0.3040
K 0.5508 0.0177 0.6949
K 0.4492 0.9823 0.3051
K 0.6354 0.7433 0.8059
K 0.3646 0.2567 0.1941
K 0.9718 0.1640 0.9342
K 0.0282 0.8360 0.0658
K 0.8897 0.4096 0.8035
K 0.1103 0.5904 0.1965
K 0.6291 0.8683 0.0023
K 0.3709 0.1317 0.9977
K 0.8297 0.0137 0.5662
K 0.1703 0.9863 0.4338
K 0.7627 0.6277 0.4984
K 0.2373 0.3723 0.5016
K 0.2054 0.4207 0.6965
K 0.7946 0.5793 0.3035
K 0.7487 0.2595 0.4470
K 0.2513 0.7405 0.5530
K 0.7039 0.4719 0.9463
K 0.2961 0.5281 0.0537
In 0.2867 0.7845 0.8752
In 0.7133 0.2155 0.1248
In 0.5452 0.3682 0.6243
In 0.4548 0.6318 0.3757
As 0.8391 0.3754 0.6205
As 0.1609 0.6246 0.3795
As 0.5784 0.0678 0.8694
As 0.4216 0.9322 0.1306
As 0.2424 0.0932 0.6177
As 0.7576 0.9068 0.3823
As 0.5557 0.6632 0.6292
As 0.4443 0.3368 0.3708
As 0.0128 0.8127 0.8819
As 0.9872 0.1873 0.1181
As 0.2952 0.5019 0.8811
As 0.7048 0.4981 0.1189

Values from the calculation:
crystal system	triclinic
symmetry	P-1
ΔH_f (0 K)	-13.17	kcal/mol of atoms


Entry 4:
NbHg3F6 | r2SCAN | relaxed

Cell: 5.1266 5.1266 7.5163 Å, 90.00 90.00 120.00°
Sites, in units of the cell vectors:
Nb 0.0000 0.0000 0.0000
Hg 0.0000 0.0000 0.5000
Hg 0.3333 0.6667 0.5000
Hg 0.6667 0.3333 0.5000
F 0.3032 0.0000 0.1531
F 0.0000 0.3032 0.1531
F 0.6968 0.6968 0.1531
F 0.0000 0.6968 0.8469
F 0.6968 0.0000 0.8469
F 0.3032 0.3032 0.8469

Values from the calculation:
crystal system	trigonal
symmetry	P-31m
ΔH_f (0 K)	-50.93	kcal/mol of atoms